Below is CsGa3 after structural relaxation, with properties calculated at the PBE level.

Cell: 6.4648 6.4648 15.5434 Å, 90.00 90.00 90.00°
With the nearest neighbours (Å) after each atom.
Space group I-4m2 (No. 119)
Symmetry-distinct sites (fractional):
Cs1 0.0000 0.0000 0.0000  12 Ga 3.75-3.83, 4 Cs 3.81
Cs2 0.0000 0.5000 0.6298  3 Cs 3.74-3.81, 12 Ga 3.81-3.86
Ga1 0.0000 0.0000 0.5000  4 Ga 2.59
Ga2 0.0000 0.2136 0.2240  6 Ga 2.72-2.89
Ga3 0.0000 0.3088 0.3942  3 Ga 2.47-2.72

Properties
- Total energy: -10.6 eV/f.u.
- Largest piezoelectric modulus: 0.33 C/m²
- ΔE_f: -0.158 eV per atom

---

Below is Cu2SnHgTe4 after structural relaxation, with properties calculated at the PBE level.

Cell: 6.3059 6.3059 12.5818 Å, 90.00 90.00 90.00°
With the nearest neighbours (Å) after each atom.
Space group I-42m (No. 121)
Symmetry-distinct sites (fractional):
Cu1 0.0000 0.5000 0.2500  4 Te 2.61
Sn1 0.0000 0.0000 0.0000  4 Te 2.85
Hg1 0.0000 0.0000 0.5000  4 Te 2.88
Te1 0.2476 0.2476 0.8572  2 Cu 2.61, 1 Sn 2.85, 1 Hg 2.88

Properties
- Total energy: -26.3 eV/f.u.
- ΔE_f: -0.364 eV per atom

---

Below is SiO2 after structural relaxation, with properties calculated at the PBE level.

Cell: 14.4678 14.4678 25.3541 Å, 90.00 90.00 120.00°
With the nearest neighbours (Å) after each atom.
Space group P6/mmm (No. 191)
Symmetry-distinct sites (fractional):
Si1 0.0000 0.3902 0.1608  4 O 1.62-1.63
Si2 0.0000 0.3902 0.2876  4 O 1.62-1.63
Si3 0.1272 0.2544 0.4400  4 O 1.61-1.63
Si4 0.2106 0.4213 0.3458  4 O 1.61-1.62
Si5 0.2344 0.4688 0.1358  4 O 1.62-1.65
Si6 0.3333 0.6667 0.0629  4 O 1.59-1.63
Si7 0.3333 0.6667 0.2108  4 O 1.62-1.63
Si8 0.3333 0.6667 0.3394  4 O 1.62-1.64
O1 0.0000 0.1813 0.4297  2 Si 1.62
O2 0.0000 0.3764 0.2242  2 Si 1.62
O3 0.0000 0.5000 0.1460  2 Si 1.63
O4 0.0000 0.5000 0.3021  2 Si 1.63
O5 0.1052 0.3938 0.1355  2 Si 1.62-1.63
O6 0.1054 0.3936 0.3115  2 Si 1.62
O7 0.1506 0.3011 0.5000  2 Si 1.63
O8 0.1774 0.3548 0.4003  2 Si 1.61
O9 0.2717 0.5434 0.0832  2 Si 1.63
O10 0.2719 0.5438 0.1891  2 Si 1.63-1.65
O11 0.2732 0.5463 0.3622  2 Si 1.62
O12 0.3333 0.6667 0.0000  2 Si 1.59
O13 0.3333 0.6667 0.2746  2 Si 1.62-1.64

Properties
- Total energy: -23.7 eV/f.u.
- ΔE_f: -3.250 eV per atom

---

Below is Sr2NbBiO6 after structural relaxation, with properties calculated at the PBE level.

Cell: 8.5173 8.5173 8.5173 Å, 90.00 90.00 90.00°
With the nearest neighbours (Å) after each atom.
Space group Pn-3 (No. 201, origin choice 2)
Symmetry-distinct sites (fractional):
Sr1 0.2500 0.2500 0.2500  12 O 3.00
Sr2 0.2500 0.2500 0.7500  4 O 2.51
Nb1 0.0000 0.0000 0.0000  6 O 2.03
Bi1 0.0000 0.0000 0.5000  6 O 2.35
O1 0.0370 0.5469 0.7305  1 Nb 2.03

Properties
- Total energy: -71.1 eV/f.u.
- ΔE_f: -2.819 eV per atom
- Energy above the lowest structure with this stoichiometry: 0.000 eV/f.u.

---

Below is Be3As2H10N2O10 after structural relaxation, with properties calculated at the PBE level.

Cell: 10.0456 8.6886 13.7234 Å, 90.00 125.69 90.00°
With the nearest neighbours (Å) after each atom.
Space group P2_1/c (No. 14)
Symmetry-distinct sites (fractional):
Be1 0.2223 0.0661 0.3132  4 O 1.63-1.66
Be2 0.2661 0.2310 0.9951  4 O 1.63-1.65
Be3 0.2686 0.0700 0.6667  4 O 1.65-1.69
As1 0.0518 0.1331 0.7415  4 O 1.71-1.73
As2 0.4500 0.1390 0.2489  4 O 1.72
H1 0.0177 0.6966 0.5231  1 N 1.04
H2 0.0917 0.0984 0.4736  1 O 0.98
H3 0.1126 0.6030 0.4740  1 N 1.03
H4 0.1879 0.5822 0.6225  1 N 1.05
H5 0.2102 0.7481 0.0756  1 N 1.05
H6 0.2931 0.5526 0.4347  1 N 1.05
H7 0.2926 0.7455 0.4123  1 N 1.05
H8 0.3964 0.0716 0.5071  1 O 0.97
H9 0.4309 0.6327 0.4140  1 N 1.04
H10 0.4519 0.6633 0.5439  1 N 1.04
N1 0.1310 0.6567 0.5480  4 H 1.03-1.05
N2 0.3672 0.6482 0.4521  4 H 1.04-1.05
O1 0.0698 0.1773 0.2170  1 Be 1.63, 1 As 1.71
O2 0.1309 0.0120 0.6878  1 Be 1.65, 1 As 1.72
O3 0.1514 0.1011 0.8938  1 Be 1.63, 1 As 1.73, 1 H 1.79
O4 0.1535 0.5967 0.8312  1 Be 1.65, 1 As 1.72, 1 H 1.80
O5 0.1700 0.1685 0.5383  1 H 0.98
O6 0.3269 0.0124 0.2597  1 Be 1.66, 1 As 1.72, 1 H 1.76
O7 0.3399 0.1498 0.4451  1 H 0.97
O8 0.3475 0.5894 0.1481  1 Be 1.69, 1 As 1.72, 1 H 1.79
O9 0.4095 0.1300 0.1088  1 Be 1.63, 1 As 1.72, 1 H 1.80
O10 0.4176 0.1765 0.7772  1 Be 1.66, 1 As 1.72

Properties
- Total energy: -156.0 eV/f.u.
- ΔE_f: -1.565 eV per atom

---

Below is EuAl2Ga2 after structural relaxation, with properties calculated at the PBE level.

Cell: 4.3298 4.3298 10.9759 Å, 90.00 90.00 90.00°
With the nearest neighbours (Å) after each atom.
Space group I4/mmm (No. 139)
Symmetry-distinct sites (fractional):
Eu1 0.0000 0.0000 0.0000  8 Ga 3.31, 8 Al 3.50
Al1 0.0000 0.5000 0.2500  4 Ga 2.63
Ga1 0.0000 0.0000 0.3857  1 Ga 2.51, 4 Al 2.63

Properties
- Total energy: -25.9 eV/f.u.
- ΔE_f: -0.425 eV per atom

---

> What is the ΔE_f in the second record?

-0.364 eV per atom

---

> total energy of number 2 (Cu2SnHgTe4)?

-26.3 eV/f.u.

---

What did the fourth record say?
Below is Sr2NbBiO6 after structural relaxation, with properties calculated at the PBE level.

Cell: 8.5173 8.5173 8.5173 Å, 90.00 90.00 90.00°
With the nearest neighbours (Å) after each atom.
Space group Pn-3 (No. 201, origin choice 2)
Symmetry-distinct sites (fractional):
Sr1 0.2500 0.2500 0.2500  12 O 3.00
Sr2 0.2500 0.2500 0.7500  4 O 2.51
Nb1 0.0000 0.0000 0.0000  6 O 2.03
Bi1 0.0000 0.0000 0.5000  6 O 2.35
O1 0.0370 0.5469 0.7305  1 Nb 2.03

Properties
- Total energy: -71.1 eV/f.u.
- ΔE_f: -2.819 eV per atom
- Energy above the lowest structure with this stoichiometry: 0.000 eV/f.u.

---

> Which of these has the lowest total energy?

Be3As2H10N2O10